{"formula": "Rb3P4H9O16", "functional": "PBE-GGA", "state": "relaxed", "formation_energy_mev_per_atom": -2117, "lattice": [[5.3563, -3.8429, 0.0000], [5.3563, 3.8429, 0.0000], [-1.6136, 0.0000, 20.1006]], "species": ["Rb", "Rb", "Rb", "Rb", "Rb", "Rb", "P", "P", "P", "P", "P", "P", "P", "P", "H", "H", "H", "H", "H", "H", "H", "H", "H", "H", "H", "H", "H", "H", "H", "H", "H", "H", "O", "O", "O", "O", "O", "O", "O", "O", "O", "O", "O", "O", "O", "O", "O", "O", "O", "O", "O", "O", "O", "O", "O", "O", "O", "O", "O", "O", "O", "O", "O", "O"], "frac_coords": [[0.2184, 0.7816, 0.5000], [0.3199, 0.7770, 0.2770], [0.4139, 0.8512, 0.0667], [0.7770, 0.3199, 0.7770], [0.7816, 0.2184, 0.0000], [0.8512, 0.4139, 0.5667], [0.0450, 0.4752, 0.1319], [0.0988, 0.6936, 0.6936], [0.1570, 0.5862, 0.9356], [0.4752, 0.0450, 0.6319], [0.5333, 0.9382, 0.8741], [0.5862, 0.1570, 0.4356], [0.6936, 0.0988, 0.1936], [0.9382, 0.5333, 0.3741], [0.0024, 0.1331, 0.1640], [0.0025, 0.4302, 0.2692], [0.1331, 0.0024, 0.6640], [0.2002, 0.6289, 0.7988], [0.2334, 0.2432, 0.4381], [0.2432, 0.2334, 0.9381], [0.3880, 0.3988, 0.6294], [0.3988, 0.3880, 0.1294], [0.4302, 0.0025, 0.7692], [0.4989, 0.6300, 0.9039], [0.6289, 0.2002, 0.2988], [0.6300, 0.4989, 0.4039], [0.6729, 0.9610, 0.5330], [0.7360, 0.7878, 0.7019], [0.7878, 0.7360, 0.2019], [0.8444, 0.8972, 0.3657], [0.8972, 0.8444, 0.8657], [0.9610, 0.6729, 0.0330], [0.0247, 0.7452, 0.9895], [0.0368, 0.4339, 0.4391], [0.0402, 0.3699, 0.3153], [0.0418, 0.9439, 0.6965], [0.0788, 0.6825, 0.8669], [0.0909, 0.2323, 0.1206], [0.1063, 0.3676, 0.9400], [0.1990, 0.5948, 0.6288], [0.2323, 0.0909, 0.6206], [0.2623, 0.5927, 0.7527], [0.2648, 0.5258, 0.1284], [0.3676, 0.1063, 0.4400], [0.3699, 0.0402, 0.8153], [0.3997, 0.5413, 0.9472], [0.4339, 0.0368, 0.9391], [0.5258, 0.2648, 0.6284], [0.5413, 0.3997, 0.4472], [0.5542, 0.9510, 0.7010], [0.5896, 0.6879, 0.8711], [0.5927, 0.2623, 0.2527], [0.5948, 0.1990, 0.1288], [0.6069, 0.8866, 0.5782], [0.6470, 0.8852, 0.2050], [0.6825, 0.0788, 0.3669], [0.6879, 0.5896, 0.3711], [0.7452, 0.0247, 0.4895], [0.7470, 0.9846, 0.8626], [0.8852, 0.6470, 0.7050], [0.8866, 0.6069, 0.0782], [0.9439, 0.0418, 0.1965], [0.9510, 0.5542, 0.2010], [0.9846, 0.7470, 0.3626]]}

=====

{"formula": "MgSnO3", "functional": "PBE-GGA", "state": "relaxed", "formation_energy_mev_per_atom": -1873, "lattice": [[4.0252, 0.0000, 0.0000], [0.0000, 4.0252, 0.0000], [0.0000, 0.0000, 4.0252]], "species": ["Mg", "Sn", "O", "O", "O"], "frac_coords": [[0.0000, 0.0000, 0.0000], [0.5000, 0.5000, 0.5000], [0.0000, 0.5000, 0.5000], [0.5000, 0.0000, 0.5000], [0.5000, 0.5000, 0.0000]]}